[1]
Compound: NpSe3
Source: the Materials Project database
Functional: PBE
Structure: relaxed

Properties
- formation energy (kJ/mol of atoms) = -118.2
- crystal system = monoclinic

a b c (Å): 4.066 5.705 9.513
angles (deg): 82.68 90.00 90.00
Positions (direct):
Se 0.750 0.879 0.334
Se 0.250 0.121 0.666
Se 0.250 0.234 0.068
Se 0.750 0.466 0.324
Se 0.250 0.534 0.676
Se 0.750 0.766 0.932
Np 0.250 0.719 0.147
Np 0.750 0.281 0.853

[2]
Compound: Tb3Ga8Ag3
Source: the Materials Project database
Functional: PBE
Structure: relaxed

Properties
- formation energy (kJ/mol of atoms) = -45.0
- crystal system = orthorhombic

a b c (Å): 4.406 8.357 8.357
angles (deg): 69.89 74.71 74.71
Positions (direct):
Ga 0.642 0.077 0.638
Ga 0.642 0.638 0.077
Ga 0.358 0.923 0.362
Ga 0.842 0.789 0.526
Ga 0.158 0.211 0.474
Ga 0.842 0.526 0.789
Ga 0.358 0.362 0.923
Ga 0.158 0.474 0.211
Tb 0.795 0.205 0.205
Tb 0.205 0.795 0.795
Tb 0.500 0.500 0.500
Ag 0.500 0.000 0.000
Ag 0.000 0.189 0.811
Ag 0.000 0.811 0.189

[3]
Compound: Li2CuSiO4
Source: the Materials Project database
Functional: PBE
Structure: relaxed

Properties
- formation energy (kJ/mol of atoms) = -225.7
- crystal system = tetragonal
- energy above the lowest structure with this stoichiometry (meV/atom) = 4

a b c (Å): 5.288 5.288 5.288
angles (deg): 130.68 130.68 72.32
Positions (direct):
O 0.393 0.393 0.565
O 0.172 0.607 0.000
O 0.828 0.828 0.435
O 0.607 0.172 0.000
Cu 0.000 0.000 0.000
Si 0.500 0.500 0.000
Li 0.250 0.750 0.500
Li 0.750 0.250 0.500

[4]
Compound: Tb3Te
Source: the Materials Project database
Functional: PBE
Structure: relaxed

Properties
- formation energy (kJ/mol of atoms) = -51.6
- crystal system = tetragonal

a b c (Å): 6.224 6.224 6.224
angles (deg): 135.99 135.99 64.00
Positions (direct):
Te 0.000 0.000 0.000
Tb 0.750 0.250 0.500
Tb 0.250 0.750 0.500
Tb 0.500 0.500 0.000

[5]
Compound: DyNbO4
Source: the Materials Project database
Functional: PBE
Structure: relaxed

Properties
- formation energy (kJ/mol of atoms) = -337.4
- crystal system = monoclinic

a b c (Å): 7.100 7.100 7.243
angles (deg): 74.16 74.16 32.92
Positions (direct):
O 0.047 0.047 0.631
O 0.953 0.953 0.369
O 0.243 0.243 0.360
O 0.376 0.376 0.695
O 0.757 0.757 0.640
O 0.868 0.868 0.973
O 0.624 0.624 0.305
O 0.132 0.132 0.027
Nb 0.903 0.903 0.708
Nb 0.097 0.097 0.292
Dy 0.194 0.194 0.711
Dy 0.806 0.806 0.289

[6]
Compound: NaAuCl4O2
Source: the Materials Project database
Functional: PBE
Structure: relaxed

Properties
- formation energy (kJ/mol of atoms) = -56.4
- crystal system = orthorhombic

a b c (Å): 12.914 10.645 8.340
angles (deg): 90.00 90.00 90.00
Positions (direct):
Na 0.480 0.750 0.088
Na 0.980 0.750 0.412
Na 0.520 0.250 0.912
Na 0.020 0.250 0.588
Cl 0.077 0.750 0.129
Cl 0.720 0.250 0.312
Cl 0.220 0.250 0.188
Cl 0.677 0.250 0.697
Cl 0.577 0.750 0.371
Cl 0.780 0.750 0.812
Cl 0.923 0.250 0.871
Cl 0.323 0.750 0.303
Cl 0.177 0.250 0.803
Cl 0.967 0.250 0.255
Cl 0.823 0.750 0.197
Cl 0.467 0.250 0.245
Cl 0.533 0.750 0.755
Cl 0.033 0.750 0.745
Cl 0.423 0.250 0.629
Cl 0.280 0.750 0.688
O 0.047 0.999 0.489
O 0.953 0.499 0.511
O 0.953 0.001 0.511
O 0.047 0.501 0.489
O 0.547 0.501 0.011
O 0.453 0.499 0.989
O 0.547 0.999 0.011
O 0.453 0.001 0.989
Au 0.428 0.750 0.530
Au 0.572 0.250 0.470
Au 0.928 0.750 0.970
Au 0.072 0.250 0.030